No. 1
VASP calculation (r2SCAN) on crystalline HfSiW at its relaxed geometry.

- SG: Pnma (62)

a b c (Å): 3.4958 6.9140 8.1530
angles (deg): 90.00 90.00 90.00
Atoms (fractional coordinates):
1 Hf 0.2500 0.5421 0.1667
2 Hf 0.2500 0.0421 0.3333
3 Hf 0.7500 0.4579 0.8333
4 Hf 0.7500 0.9579 0.6667
5 Si 0.2500 0.7561 0.8601
6 Si 0.2500 0.2561 0.6399
7 Si 0.7500 0.2439 0.1399
8 Si 0.7500 0.7439 0.3601
9 W 0.2500 0.6334 0.5607
10 W 0.2500 0.1334 0.9393
11 W 0.7500 0.3666 0.4393
12 W 0.7500 0.8666 0.0607

No. 2
VASP calculation (r2SCAN) on crystalline Hf5Sn3 at its relaxed geometry.

- SG: P6_3/mcm (193)

a b c (Å): 8.3946 8.3946 5.7059
angles (deg): 90.00 90.00 120.00
Atoms (fractional coordinates):
1 Hf 0.3333 0.6667 0.0000
2 Hf 0.6667 0.3333 0.5000
3 Hf 0.6667 0.3333 0.0000
4 Hf 0.3333 0.6667 0.5000
5 Hf 0.7541 0.9999 0.7500
6 Hf 0.7541 0.7543 0.2500
7 Hf 0.0001 0.2459 0.2500
8 Hf 0.0001 0.7543 0.7500
9 Hf 0.2457 0.2459 0.7500
10 Hf 0.2457 0.9999 0.2500
11 Sn 0.3927 0.0000 0.7500
12 Sn 0.3927 0.3926 0.2500
13 Sn 0.0000 0.6073 0.2500
14 Sn 0.0000 0.3926 0.7500
15 Sn 0.6074 0.6073 0.7500
16 Sn 0.6074 0.0000 0.2500

No. 3
VASP calculation (r2SCAN) on crystalline HfTc2 at its relaxed geometry.

- SG: P6_3/mmc (194)

a b c (Å): 5.1791 5.1791 8.6286
angles (deg): 90.00 90.00 120.02
Atoms (fractional coordinates):
1 Hf 0.6666 0.3334 0.5629
2 Hf 0.3334 0.6666 0.4371
3 Hf 0.3334 0.6666 0.0629
4 Hf 0.6666 0.3334 0.9371
5 Tc 0.0000 0.0000 0.5000
6 Tc 0.0000 0.0000 0.0000
7 Tc 0.1726 0.3454 0.7500
8 Tc 0.1727 0.8273 0.7500
9 Tc 0.6546 0.8274 0.7500
10 Tc 0.8274 0.6546 0.2500
11 Tc 0.8273 0.1727 0.2500
12 Tc 0.3454 0.1726 0.2500

In eV/atom, the E_tot values for the records above are, in order, -35.751, -37.927, -32.770.
In meV per atom, the energy relative to the elements values for the records above are, in order, -653, -427, -410.